# 1
# Na3InP2, relaxed, DFT PBE
data_Na3InP2
_chemical_formula_sum 'Na24 In8 P16'
_symmetry_space_group_name_H-M 'P 1 21/c 1'
_symmetry_Int_Tables_number 14
_cell_length_a 9.4848
_cell_length_b 7.4003
_cell_length_c 15.4497
_cell_angle_alpha 90.00
_cell_angle_beta 92.63
_cell_angle_gamma 90.00
loop_
_symmetry_equiv_pos_as_xyz
'x,y,z'
'-x,-y,-z'
'-x,y+1/2,-z+1/2'
'x,-y+1/2,z+1/2'
loop_
_atom_site_label
_atom_site_fract_x
_atom_site_fract_y
_atom_site_fract_z
Na1 0.0601 0.0109 0.3957
Na2 0.1171 0.1529 0.0463
Na3 0.1802 0.5043 0.3633
Na4 0.3117 0.0345 0.6505
Na5 0.3759 0.1520 0.2965
Na6 0.4346 0.5233 0.6054
In1 0.1365 0.6556 0.7104
In2 0.3737 0.6414 0.9590
P1 0.0930 0.2051 0.2261
P2 0.1524 0.7372 0.5419
P3 0.3735 0.2181 0.4769
P4 0.3749 0.7407 0.7942
# crystal system	monoclinic



# 2
# Na2In2SiS6, relaxed, DFT PBE
data_Na2In2SiS6
_chemical_formula_sum 'Na8 In8 Si4 S24'
_symmetry_space_group_name_H-M 'C 1 c 1'
_symmetry_Int_Tables_number 9
_cell_length_a 12.2465
_cell_length_b 7.9356
_cell_length_c 12.3806
_cell_angle_alpha 90.00
_cell_angle_beta 108.32
_cell_angle_gamma 90.00
loop_
_symmetry_equiv_pos_as_xyz
'x,y,z'
'x,-y,z+1/2'
'x+1/2,y+1/2,z'
'x+1/2,-y+1/2,z+1/2'
loop_
_atom_site_label
_atom_site_fract_x
_atom_site_fract_y
_atom_site_fract_z
Na1 0.0000 0.0703 0.0000
Na2 0.2185 0.3162 0.6619
In1 0.0346 0.4167 0.3092
In2 0.3514 0.0590 0.0060
Si1 0.2907 0.2192 0.2543
S1 0.0161 0.2786 0.4816
S2 0.2169 0.0032 0.3078
S3 0.2199 0.2456 0.0733
S4 0.2475 0.4427 0.3329
S5 0.4148 0.1990 0.6234
S6 0.4747 0.2234 0.3028
# E (MP2020)	-4.606	eV per atom
# crystal system	monoclinic



# 3
# Na7In3Se8, relaxed, DFT PBE
data_Na7In3Se8
_chemical_formula_sum 'Na14 In6 Se16'
_symmetry_space_group_name_H-M 'P -1'
_symmetry_Int_Tables_number 2
_cell_length_a 6.8178
_cell_length_b 10.5827
_cell_length_c 13.6885
_cell_angle_alpha 88.52
_cell_angle_beta 90.00
_cell_angle_gamma 89.82
loop_
_symmetry_equiv_pos_as_xyz
'x,y,z'
'-x,-y,-z'
loop_
_atom_site_label
_atom_site_fract_x
_atom_site_fract_y
_atom_site_fract_z
Na1 0.0175 0.1239 0.1345
Na2 0.0218 0.3610 0.3752
Na3 0.2215 0.6102 0.2253
Na4 0.2327 0.1136 0.7344
Na5 0.2444 0.8599 0.4803
Na6 0.2448 0.3721 0.9834
Na7 0.3536 0.1253 0.3217
In1 0.3648 0.8825 0.0645
In2 0.3673 0.3884 0.5739
In3 0.3744 0.6564 0.8046
Se1 0.2274 0.8374 0.6963
Se2 0.2398 0.8852 0.2420
Se3 0.2422 0.6679 0.9903
Se4 0.2452 0.1685 0.5236
Se5 0.2471 0.4256 0.7557
Se6 0.2498 0.3426 0.1933
Se7 0.2502 0.5767 0.4528
Se8 0.2511 0.0813 0.9532
# E (MP2020)	-3.649	eV per atom
# crystal system	triclinic



# 4
# NaInSn2, relaxed, DFT PBE
data_NaInSn2
_chemical_formula_sum 'Na4 In4 Sn8'
_symmetry_space_group_name_H-M 'P 21 21 21'
_symmetry_Int_Tables_number 19
_cell_length_a 6.4683
_cell_length_b 6.6531
_cell_length_c 11.5974
_cell_angle_alpha 90.00
_cell_angle_beta 90.00
_cell_angle_gamma 90.00
loop_
_symmetry_equiv_pos_as_xyz
'x,y,z'
'-x+1/2,-y,z+1/2'
'x+1/2,-y+1/2,-z'
'-x,y+1/2,-z+1/2'
loop_
_atom_site_label
_atom_site_fract_x
_atom_site_fract_y
_atom_site_fract_z
Na1 0.1146 0.1251 0.4369
In1 0.0996 0.5936 0.6118
Sn1 0.0681 0.1123 0.1231
Sn2 0.2305 0.2326 0.7347
# crystal system	orthorhombic



| no. | formation enthalpy at 0 K (meV per atom) |
| --- | --- |
| 1 | -376 |
| 2 | -1116 |
| 3 | -1122 |
| 4 | -137 |